#w
TiCrAgS4 after structural relaxation, computed with PBE.

V, Å³/cell: 271.4
Size of the total moment, μB per formula unit: 0.02

a = 6.922 Å, b = 5.981 Å, c = 6.569 Å
α = 86.36°, β = 90.00°, γ = 90.00°
Positions (direct):
Ti1 0.767 0.500 0.500
Ti2 0.483 0.000 0.500
Cr1 0.256 0.500 0.500
Cr2 0.998 0.000 0.500
Ag1 0.991 0.000 0.000
Ag2 0.489 0.000 0.000
S1 0.008 0.317 0.709
S2 0.502 0.324 0.710
S3 0.245 0.812 0.713
S4 0.753 0.821 0.713
S5 0.245 0.188 0.287
S6 0.753 0.179 0.287
S7 0.502 0.676 0.290
S8 0.008 0.683 0.291


#x
TiCrAgS4 after structural relaxation, computed with PBE.

V, Å³/cell: 550.0
Size of the total moment, μB per formula unit: 3.00

a = 5.955 Å, b = 6.910 Å, c = 13.367 Å
α = 89.69°, β = 89.81°, γ = 89.94°
Positions (direct):
Ti1 0.006 0.483 0.751
Ti2 0.507 0.771 0.751
Ti3 0.501 0.247 0.249
Ti4 0.500 0.747 0.250
Cr1 0.999 0.995 0.751
Cr2 0.000 0.001 0.249
Cr3 0.000 0.501 0.251
Cr4 0.499 0.252 0.749
Ag1 0.349 0.999 0.002
Ag2 0.645 0.497 0.499
Ag3 0.027 0.001 0.499
Ag4 0.969 0.498 0.998
S1 0.838 0.750 0.645
S2 0.837 0.253 0.355
S3 0.173 0.238 0.856
S4 0.162 0.754 0.146
S5 0.163 0.752 0.855
S6 0.162 0.249 0.146
S7 0.828 0.248 0.645
S8 0.837 0.747 0.355
S9 0.669 0.008 0.855
S10 0.670 0.001 0.146
S11 0.339 0.501 0.647
S12 0.330 0.500 0.353
S13 0.328 0.006 0.647
S14 0.332 0.000 0.354
S15 0.663 0.499 0.852
S16 0.669 0.502 0.145


Least stable structure: #w


#w
Rb3Bi2I9 after structural relaxation, computed with PBE.

V, Å³/cell: 1405.5

a = 8.596 Å, b = 8.596 Å, c = 21.932 Å
α = 89.30°, β = 89.30°, γ = 119.84°
Positions (direct):
Rb1 0.997 0.003 0.750
Rb2 0.667 0.331 0.077
Rb3 0.003 0.997 0.250
Rb4 0.331 0.667 0.577
Rb5 0.333 0.669 0.923
Rb6 0.669 0.333 0.423
Bi1 0.655 0.324 0.656
Bi2 0.345 0.676 0.344
Bi3 0.324 0.655 0.156
Bi4 0.676 0.345 0.844
I1 0.648 0.814 0.075
I2 0.352 0.186 0.925
I3 0.496 0.998 0.757
I4 0.187 0.856 0.417
I5 0.856 0.187 0.917
I6 0.814 0.648 0.575
I7 0.813 0.144 0.583
I8 0.308 0.150 0.590
I9 0.504 0.002 0.243
I10 0.002 0.504 0.743
I11 0.144 0.813 0.083
I12 0.998 0.496 0.257
I13 0.497 0.503 0.750
I14 0.850 0.692 0.910
I15 0.150 0.308 0.090
I16 0.692 0.850 0.410
I17 0.503 0.497 0.250
I18 0.186 0.352 0.425


#x
Rb3Bi2I9 after structural relaxation, computed with PBE.

V, Å³/cell: 2746.5
Size of the total moment, μB per formula unit: 0.00

a = 8.454 Å, b = 15.091 Å, c = 25.947 Å
α = 56.06°, β = 90.00°, γ = 90.00°
Positions (direct):
Rb1 0.222 0.652 0.548
Rb2 0.778 0.652 0.048
Rb3 0.734 0.060 0.595
Rb4 0.266 0.060 0.095
Rb5 0.773 0.997 0.376
Rb6 0.227 0.997 0.876
Rb7 0.768 0.322 0.711
Rb8 0.232 0.322 0.211
Rb9 0.274 0.379 0.432
Rb10 0.726 0.379 0.932
Rb11 0.282 0.726 0.760
Rb12 0.718 0.726 0.260
Bi1 0.759 0.862 0.812
Bi2 0.241 0.862 0.312
Bi3 0.241 0.012 0.494
Bi4 0.759 0.012 0.994
Bi5 0.258 0.363 0.813
Bi6 0.742 0.363 0.313
Bi7 0.744 0.519 0.492
Bi8 0.256 0.519 0.992
I1 0.669 0.598 0.572
I2 0.560 0.166 0.437
I3 0.657 0.925 0.909
I4 0.343 0.925 0.409
I5 0.822 0.104 0.069
I6 0.178 0.104 0.569
I7 0.559 0.837 0.095
I8 0.441 0.837 0.595
I9 0.452 0.498 0.269
I10 0.548 0.498 0.769
I11 0.960 0.410 0.063
I12 0.440 0.166 0.937
I13 0.051 0.878 0.037
I14 0.949 0.878 0.537
I15 0.049 0.062 0.237
I16 0.951 0.062 0.737
I17 0.157 0.453 0.897
I18 0.843 0.453 0.397
I19 0.569 0.636 0.905
I20 0.431 0.636 0.405
I21 0.945 0.535 0.213
I22 0.055 0.535 0.713
I23 0.071 0.745 0.898
I24 0.929 0.745 0.398
I25 0.534 0.973 0.239
I26 0.466 0.973 0.739
I27 0.061 0.211 0.371
I28 0.939 0.211 0.871
I29 0.447 0.319 0.070
I30 0.553 0.319 0.570
I31 0.676 0.271 0.239
I32 0.324 0.271 0.739
I33 0.838 0.785 0.732
I34 0.162 0.785 0.232
I35 0.040 0.410 0.563
I36 0.331 0.598 0.072


Least stable structure: #w


#w
Mg3Sb after structural relaxation, computed with PBE.

V, Å³/cell: 92.4
Size of the total moment, μB per formula unit: 0.00

a = 5.694 Å, b = 5.694 Å, c = 5.694 Å
α = 134.50°, β = 134.50°, γ = 66.31°
Positions (direct):
Mg1 0.500 0.500 0.000
Mg2 0.250 0.750 0.500
Mg3 0.750 0.250 0.500
Sb1 0.000 0.000 0.000


#x
Mg3Sb after structural relaxation, computed with PBE.

V, Å³/cell: 92.5
Size of the total moment, μB per formula unit: 0.00

a = 4.523 Å, b = 4.523 Å, c = 4.523 Å
α = 90.00°, β = 90.00°, γ = 90.00°
Positions (direct):
Mg1 0.500 0.500 0.000
Mg2 0.500 0.000 0.500
Mg3 0.000 0.500 0.500
Sb1 0.000 0.000 0.000


Least stable structure: #w


#w
FeH12C2N2Cl4 after structural relaxation, computed with PBE.

V, Å³/cell: 1029.7
Size of the total moment, μB per formula unit: 4.00

a = 7.286 Å, b = 7.278 Å, c = 19.416 Å
α = 90.00°, β = 90.00°, γ = 90.00°
Positions (direct):
Fe1 0.000 0.500 0.500
Fe2 0.500 0.000 0.500
Fe3 0.500 0.500 0.000
Fe4 0.000 0.000 0.000
H1 0.074 0.427 0.918
H2 0.426 0.073 0.918
H3 0.574 0.573 0.582
H4 0.926 0.927 0.582
H5 0.926 0.573 0.082
H6 0.574 0.927 0.082
H7 0.426 0.427 0.418
H8 0.074 0.073 0.418
H9 0.015 0.647 0.901
H10 0.485 0.853 0.901
H11 0.515 0.353 0.599
H12 0.985 0.147 0.599
H13 0.985 0.353 0.099
H14 0.515 0.147 0.099
H15 0.485 0.647 0.401
H16 0.015 0.853 0.401
H17 0.854 0.484 0.901
H18 0.646 0.016 0.901
H19 0.354 0.516 0.599
H20 0.146 0.984 0.599
H21 0.146 0.516 0.099
H22 0.354 0.984 0.099
H23 0.646 0.484 0.401
H24 0.854 0.016 0.401
H25 0.004 0.331 0.803
H26 0.496 0.169 0.803
H27 0.504 0.669 0.697
H28 0.996 0.831 0.697
H29 0.996 0.669 0.197
H30 0.504 0.831 0.197
H31 0.496 0.331 0.303
H32 0.004 0.169 0.303
H33 0.921 0.558 0.783
H34 0.579 0.942 0.783
H35 0.421 0.442 0.717
H36 0.079 0.058 0.717
H37 0.079 0.442 0.217
H38 0.421 0.058 0.217
H39 0.579 0.558 0.283
H40 0.921 0.942 0.283
H41 0.161 0.522 0.800
H42 0.339 0.978 0.800
H43 0.661 0.478 0.700
H44 0.839 0.022 0.700
H45 0.839 0.478 0.200
H46 0.661 0.022 0.200
H47 0.339 0.522 0.300
H48 0.161 0.978 0.300
C1 0.021 0.478 0.813
C2 0.479 0.022 0.813
C3 0.521 0.522 0.687
C4 0.979 0.978 0.687
C5 0.979 0.522 0.187
C6 0.521 0.978 0.187
C7 0.479 0.478 0.313
C8 0.021 0.022 0.313
N1 0.989 0.511 0.888
N2 0.511 0.989 0.888
N3 0.489 0.489 0.612
N4 0.011 0.011 0.612
N5 0.011 0.489 0.112
N6 0.489 0.011 0.112
N7 0.511 0.511 0.388
N8 0.989 0.989 0.388
Cl1 0.032 0.468 0.622
Cl2 0.468 0.032 0.622
Cl3 0.532 0.532 0.878
Cl4 0.968 0.968 0.878
Cl5 0.968 0.532 0.378
Cl6 0.532 0.968 0.378
Cl7 0.468 0.468 0.122
Cl8 0.032 0.032 0.122
Cl9 0.250 0.750 0.500
Cl10 0.750 0.250 0.000
Cl11 0.750 0.250 0.500
Cl12 0.250 0.750 0.000
Cl13 0.750 0.750 0.521
Cl14 0.250 0.250 0.979
Cl15 0.250 0.250 0.479
Cl16 0.750 0.750 0.021


#x
FeH12C2N2Cl4 after structural relaxation, computed with PBE.

V, Å³/cell: 1036.0
Size of the total moment, μB per formula unit: 4.22

a = 7.293 Å, b = 7.301 Å, c = 19.457 Å
α = 90.00°, β = 90.00°, γ = 90.00°
Positions (direct):
Fe1 0.000 0.500 0.500
Fe2 0.500 0.000 0.500
Fe3 0.500 0.500 0.000
Fe4 0.000 0.000 0.000
H1 0.575 0.568 0.418
H2 0.925 0.932 0.418
H3 0.075 0.432 0.082
H4 0.425 0.068 0.082
H5 0.425 0.432 0.582
H6 0.075 0.068 0.582
H7 0.925 0.568 0.918
H8 0.575 0.932 0.918
H9 0.355 0.517 0.401
H10 0.145 0.983 0.401
H11 0.855 0.483 0.099
H12 0.645 0.017 0.099
H13 0.645 0.483 0.599
H14 0.855 0.017 0.599
H15 0.145 0.517 0.901
H16 0.355 0.983 0.901
H17 0.512 0.351 0.399
H18 0.988 0.149 0.399
H19 0.012 0.649 0.101
H20 0.488 0.851 0.101
H21 0.488 0.649 0.601
H22 0.012 0.851 0.601
H23 0.988 0.351 0.899
H24 0.512 0.149 0.899
H25 0.428 0.437 0.283
H26 0.072 0.063 0.283
H27 0.928 0.563 0.217
H28 0.572 0.937 0.217
H29 0.572 0.563 0.717
H30 0.928 0.937 0.717
H31 0.072 0.437 0.783
H32 0.428 0.063 0.783
H33 0.494 0.668 0.303
H34 0.006 0.832 0.303
H35 0.994 0.332 0.197
H36 0.506 0.168 0.197
H37 0.506 0.332 0.697
H38 0.994 0.168 0.697
H39 0.006 0.668 0.803
H40 0.494 0.832 0.803
H41 0.663 0.490 0.301
H42 0.837 0.010 0.301
H43 0.163 0.510 0.199
H44 0.337 0.990 0.199
H45 0.337 0.510 0.699
H46 0.163 0.990 0.699
H47 0.837 0.490 0.801
H48 0.663 0.010 0.801
C1 0.521 0.523 0.313
C2 0.979 0.977 0.313
C3 0.021 0.477 0.187
C4 0.479 0.023 0.187
C5 0.479 0.477 0.687
C6 0.021 0.023 0.687
C7 0.979 0.523 0.813
C8 0.521 0.977 0.813
N1 0.489 0.488 0.387
N2 0.011 0.012 0.387
N3 0.989 0.512 0.113
N4 0.511 0.988 0.113
N5 0.511 0.512 0.613
N6 0.989 0.988 0.613
N7 0.011 0.488 0.887
N8 0.489 0.012 0.887
Cl1 0.971 0.534 0.622
Cl2 0.529 0.966 0.622
Cl3 0.471 0.466 0.878
Cl4 0.029 0.034 0.878
Cl5 0.029 0.466 0.378
Cl6 0.471 0.034 0.378
Cl7 0.529 0.534 0.122
Cl8 0.971 0.966 0.122
Cl9 0.250 0.750 0.498
Cl10 0.750 0.250 0.002
Cl11 0.750 0.250 0.502
Cl12 0.250 0.750 0.998
Cl13 0.250 0.250 0.521
Cl14 0.750 0.750 0.979
Cl15 0.750 0.750 0.479
Cl16 0.250 0.250 0.021


Least stable structure: #w


#w
Ba3CaLa2Cu6O13 after structural relaxation, computed with PBE.

V, Å³/cell: 367.9
Size of the total moment, μB per formula unit: 0.01

a = 5.574 Å, b = 5.574 Å, c = 12.450 Å
α = 77.52°, β = 77.52°, γ = 90.98°
Positions (direct):
Ba1 0.585 0.085 0.817
Ba2 0.101 0.601 0.813
Ba3 0.916 0.416 0.182
Ca1 0.413 0.913 0.208
La1 0.251 0.751 0.498
La2 0.752 0.252 0.496
Cu1 0.176 0.178 0.647
Cu2 0.678 0.676 0.647
Cu3 0.330 0.329 0.343
Cu4 0.829 0.830 0.343
Cu5 0.485 0.506 0.006
Cu6 0.006 0.985 0.006
O1 0.058 0.096 0.853
O2 0.596 0.558 0.853
O3 0.435 0.353 0.155
O4 0.853 0.935 0.155
O5 0.435 0.935 0.633
O6 0.935 0.435 0.628
O7 0.935 0.936 0.629
O8 0.436 0.435 0.629
O9 0.563 0.063 0.365
O10 0.081 0.581 0.354
O11 0.072 0.066 0.362
O12 0.566 0.572 0.362
O13 0.264 0.764 0.016


#x
Ba3CaLa2Cu6O13 after structural relaxation, computed with PBE.

V, Å³/cell: 364.9
Size of the total moment, μB per formula unit: 0.00

a = 5.531 Å, b = 5.531 Å, c = 11.931 Å
α = 89.65°, β = 89.65°, γ = 90.84°
Positions (direct):
Ba1 0.005 0.005 0.195
Ba2 0.496 0.496 0.189
Ba3 0.006 0.006 0.816
Ca1 0.501 0.501 0.496
La1 0.505 0.505 0.790
La2 0.000 0.000 0.505
Cu1 0.000 0.502 0.362
Cu2 0.502 0.000 0.362
Cu3 0.998 0.500 0.648
Cu4 0.500 0.998 0.648
Cu5 0.012 0.490 0.993
Cu6 0.490 0.012 0.993
O1 0.251 0.251 0.371
O2 0.752 0.752 0.372
O3 0.752 0.249 0.375
O4 0.249 0.752 0.375
O5 0.256 0.256 0.645
O6 0.743 0.743 0.632
O7 0.742 0.255 0.642
O8 0.255 0.742 0.642
O9 0.992 0.520 0.145
O10 0.520 0.992 0.145
O11 0.921 0.509 0.846
O12 0.509 0.921 0.846
O13 0.294 0.294 0.965


Least stable structure: #w